# 1
# UMnC2

A geometry-optimized UMnC2 structure (PBE-GGA, the Materials Project database).

It has space group Pnma (No. 62), with a = 5.2232 Å, b = 2.7739 Å, c = 12.2549 Å, α = 90.00°, β = 90.00° and γ = 90.00°. The distinct sites, in fractional coordinates, are U at (0.1211, 0.2500, 0.0885), Mn at (0.1033, 0.7500, 0.3038), C at (0.0036, 0.2500, 0.5313) and C at (0.1481, 0.7500, 0.7535).

=====

# 2
# UMnC2

A geometry-optimized UMnC2 structure (PBE-GGA, the Materials Project database).

It has space group Pnma (No. 62), with a = 5.4158 Å, b = 3.1871 Å, c = 10.5916 Å, α = 90.00°, β = 90.00° and γ = 90.00°. The distinct sites, in fractional coordinates, are U at (0.0827, 0.2500, 0.1414), Mn at (0.0816, 0.7500, 0.4026), C at (0.1609, 0.2500, 0.7533) and C at (0.2214, 0.2500, 0.4883).

=====

| no. | VASP energy (hartree per atom) |
| --- | --- |
| 1 | -0.3483 |
| 2 | -0.3624 |